Record 1
This record from the Materials Project describes an optimized crystal structure of Te2Pd3Pb2. The functional is meta-GGA r2SCAN.

Values from the calculation:
ΔH_f (0 K) (eV per atom): -0.403
Symmetry: Pmmn (59)
DFT total energy (eV per atom): -33.587

Unit cell a=5.972 b=6.600 c=8.714 alpha=90.00 beta=90.00 gamma=90.00
Fractional positions:
Te 0.750 0.322 0.038
Te 0.250 0.678 0.962
Pb 0.250 0.247 0.250
Pd 0.500 0.000 0.500
Pd 0.000 0.000 0.000
Pd 0.500 0.000 0.000
Pb 0.750 0.753 0.750
Te 0.250 0.678 0.538
Pb 0.250 0.195 0.750
Te 0.750 0.322 0.462
Pd 0.250 0.803 0.250
Pb 0.750 0.805 0.250
Pd 0.750 0.197 0.750
Pd 0.000 0.000 0.500

***

Record 2
This record from the Materials Project describes an optimized crystal structure of Y2InNi2. The functional is meta-GGA r2SCAN.

Values from the calculation:
ΔH_f (0 K) (eV per atom): -0.541
Symmetry: Cmmm (65)
DFT total energy (eV per atom): -17.975

Unit cell a=3.719 b=3.855 c=7.340 alpha=105.22 beta=90.00 gamma=90.00
Fractional positions:
Ni 0.000 0.800 0.600
In 0.000 0.000 0.000
Y 0.500 0.363 0.726
Y 0.500 0.637 0.274
Ni 0.000 0.200 0.400

***

Record 3
This record from the Materials Project describes an optimized crystal structure of Tb5Si3. The functional is meta-GGA r2SCAN.

Values from the calculation:
ΔH_f (0 K) (eV per atom): -0.769
Symmetry: P6_3/mcm (193)
DFT total energy (eV per atom): -23.576

Unit cell a=8.472 b=8.472 c=6.414 alpha=90.00 beta=90.00 gamma=120.00
Fractional positions:
Si 0.394 0.394 0.250
Tb 0.243 0.000 0.250
Tb 0.757 0.000 0.750
Tb 0.243 0.243 0.750
Tb 0.667 0.333 0.500
Si 0.394 0.000 0.750
Si 0.000 0.394 0.750
Tb 0.333 0.667 0.500
Tb 0.667 0.333 0.000
Si 0.000 0.606 0.250
Si 0.606 0.000 0.250
Si 0.606 0.606 0.750
Tb 0.000 0.243 0.250
Tb 0.000 0.757 0.750
Tb 0.333 0.667 0.000
Tb 0.757 0.757 0.250

***

Record 4
This record from the Materials Project describes an optimized crystal structure of TcBr4. The functional is meta-GGA r2SCAN.

Values from the calculation:
ΔH_f (0 K) (eV per atom): -0.593
Symmetry: Pbca (61)
DFT total energy (eV per atom): -16.393

Unit cell a=6.415 b=12.622 c=15.217 alpha=90.00 beta=90.00 gamma=90.00
Fractional positions:
Tc 0.901 0.870 0.820
Br 0.727 0.517 0.193
Br 0.452 0.253 0.928
Br 0.075 0.743 0.193
Br 0.247 0.488 0.573
Br 0.575 0.757 0.807
Br 0.747 0.488 0.927
Br 0.548 0.747 0.072
Br 0.425 0.257 0.693
Br 0.952 0.253 0.572
Br 0.048 0.747 0.428
Br 0.727 0.983 0.693
Br 0.773 0.483 0.693
Br 0.247 0.012 0.073
Br 0.227 0.517 0.307
Br 0.273 0.483 0.807
Br 0.925 0.257 0.807
Br 0.753 0.988 0.927
Br 0.753 0.512 0.427
Br 0.425 0.243 0.193
Br 0.253 0.512 0.073
Br 0.548 0.753 0.572
Br 0.575 0.743 0.307
Br 0.773 0.017 0.193
Br 0.925 0.243 0.307
Br 0.952 0.247 0.072
Br 0.227 0.983 0.807
Br 0.273 0.017 0.307
Br 0.075 0.757 0.693
Tc 0.599 0.370 0.820
Tc 0.099 0.370 0.680
Tc 0.099 0.130 0.180
Tc 0.401 0.870 0.680
Tc 0.599 0.130 0.320
Br 0.452 0.247 0.428
Br 0.747 0.012 0.427
Br 0.253 0.988 0.573
Br 0.048 0.753 0.928
Tc 0.401 0.630 0.180
Tc 0.901 0.630 0.320

***

Record 5
This record from the Materials Project describes an optimized crystal structure of PbBrF. The functional is meta-GGA r2SCAN.

Values from the calculation:
ΔH_f (0 K) (eV per atom): -1.853
Symmetry: P4/nmm (129)
DFT total energy (eV per atom): -26.077

Unit cell a=4.185 b=4.185 c=7.662 alpha=90.00 beta=90.00 gamma=90.00
Fractional positions:
Pb 0.750 0.750 0.809
F 0.250 0.750 0.000
Br 0.250 0.250 0.653
F 0.750 0.250 0.000
Br 0.750 0.750 0.347
Pb 0.250 0.250 0.191

***

Record 6
This record from the Materials Project describes an optimized crystal structure of NiPt. The functional is meta-GGA r2SCAN.

Values from the calculation:
ΔH_f (0 K) (eV per atom): -0.110
Symmetry: R-3m (166)
DFT total energy (eV per atom): -31.845

Unit cell a=4.509 b=4.509 c=4.509 alpha=34.94 beta=34.94 gamma=34.94
Fractional positions:
Pt 0.500 0.500 0.500
Ni 0.000 0.000 0.000

***

Record 7
This record from the Materials Project describes an optimized crystal structure of TiSeS. The functional is meta-GGA r2SCAN.

Values from the calculation:
ΔH_f (0 K) (eV per atom): -1.386
Symmetry: P3m1 (156)
DFT total energy (eV per atom): -13.147

Unit cell a=3.488 b=3.488 c=6.182 alpha=90.00 beta=90.00 gamma=120.00
Fractional positions:
Ti 0.333 0.667 0.986
Se 0.667 0.333 0.243
S 0.000 0.000 0.771

***

Record 8
This record from the Materials Project describes an optimized crystal structure of Al4B2O9. The functional is meta-GGA r2SCAN.

Values from the calculation:
ΔH_f (0 K) (eV per atom): -3.123
Symmetry: C2/m (12)
DFT total energy (eV per atom): -9.481

Unit cell a=5.534 b=7.868 c=15.038 alpha=91.05 beta=90.00 gamma=69.41
Fractional positions:
Al 0.862 0.275 0.663
O 0.680 0.640 0.448
O 0.167 0.665 0.959
Al 0.806 0.388 0.842
O 0.081 0.839 0.224
O 0.204 0.157 0.643
O 0.946 0.679 0.595
O 0.361 0.843 0.357
O 0.465 0.637 0.106
O 0.898 0.637 0.106
Al 0.743 0.002 0.755
O 0.625 0.321 0.405
O 0.054 0.321 0.405
O 0.571 0.859 0.716
B 0.127 0.745 0.630
O 0.556 0.887 0.049
O 0.320 0.360 0.552
Al 0.745 0.998 0.245
O 0.151 0.131 0.136
Al 0.138 0.725 0.337
O 0.849 0.869 0.864
Al 0.255 0.002 0.755
O 0.696 0.608 0.938
O 0.919 0.161 0.776
O 0.429 0.141 0.284
O 0.241 0.518 0.267
O 0.304 0.392 0.062
O 0.933 0.133 0.300
Al 0.329 0.342 0.345
Al 0.569 0.861 0.931
O 0.833 0.335 0.041
B 0.101 0.797 0.896
B 0.873 0.255 0.370
B 0.899 0.203 0.104
Al 0.431 0.139 0.069
Al 0.257 0.998 0.245
O 0.573 0.854 0.201
Al 0.000 0.500 0.000
O 0.535 0.363 0.894
O 0.790 0.420 0.567
O 0.759 0.482 0.733
Al 0.500 0.500 0.500
O 0.796 0.843 0.357
O 0.067 0.867 0.700
O 0.375 0.679 0.595
Al 0.000 0.500 0.500
O 0.282 0.869 0.864
O 0.718 0.131 0.136
O 0.639 0.157 0.643
B 0.376 0.247 0.883
Al 0.671 0.658 0.655
O 0.444 0.113 0.951
O 0.427 0.146 0.799
O 0.102 0.363 0.894
Al 0.194 0.612 0.158
B 0.389 0.222 0.613
B 0.624 0.753 0.117
Al 0.500 0.500 0.000
O 0.210 0.580 0.433
B 0.611 0.778 0.387

***

Record 9
This record from the Materials Project describes an optimized crystal structure of CaLaMg2. The functional is meta-GGA r2SCAN.

Values from the calculation:
ΔH_f (0 K) (eV per atom): -0.111
Symmetry: Fm-3m (225)
DFT total energy (eV per atom): -11.391

Unit cell a=5.616 b=5.616 c=5.616 alpha=60.00 beta=60.00 gamma=60.00
Fractional positions:
Mg 0.500 0.500 0.500
Ca 0.250 0.250 0.250
Mg 0.000 0.000 0.000
La 0.750 0.750 0.750

***

Record 10
This record from the Materials Project describes an optimized crystal structure of La9Sb5O5. The functional is meta-GGA r2SCAN.

Values from the calculation:
ΔH_f (0 K) (eV per atom): -2.499
Symmetry: P4/n (85)
DFT total energy (eV per atom): -24.925

Unit cell a=10.457 b=10.457 c=9.389 alpha=90.00 beta=90.00 gamma=90.00
Fractional positions:
O 0.621 0.724 0.090
La 0.419 0.772 0.002
Sb 0.303 0.597 0.298
O 0.000 0.500 0.073
O 0.121 0.224 0.910
O 0.500 0.000 0.927
O 0.724 0.379 0.910
O 0.879 0.776 0.910
La 0.081 0.728 0.998
La 0.896 0.797 0.657
Sb 0.000 0.500 0.690
Sb 0.197 0.903 0.702
La 0.604 0.703 0.343
O 0.224 0.879 0.090
La 0.297 0.604 0.657
La 0.728 0.919 0.002
La 0.000 0.500 0.329
La 0.272 0.081 0.002
Sb 0.697 0.403 0.298
Sb 0.903 0.803 0.298
La 0.500 0.000 0.671
O 0.276 0.621 0.910
La 0.919 0.272 0.998
O 0.379 0.276 0.090
La 0.703 0.396 0.657
La 0.228 0.419 0.998
O 0.776 0.121 0.090
La 0.396 0.297 0.343
La 0.797 0.104 0.343
La 0.581 0.228 0.002
La 0.203 0.896 0.343
Sb 0.097 0.197 0.298
Sb 0.803 0.097 0.702
Sb 0.597 0.697 0.702
Sb 0.403 0.303 0.702
Sb 0.500 0.000 0.310
La 0.772 0.581 0.998
La 0.104 0.203 0.657

***

Record 11
This record from the Materials Project describes an optimized crystal structure of ZrV2. The functional is meta-GGA r2SCAN.

Values from the calculation:
ΔH_f (0 K) (eV per atom): 0.083
Symmetry: Fd-3m (227)
DFT total energy (eV per atom): -16.893

Unit cell a=5.186 b=5.186 c=5.186 alpha=60.00 beta=60.00 gamma=60.00
Fractional positions:
V 0.500 0.500 0.500
V 0.500 0.000 0.500
Zr 0.875 0.875 0.875
V 0.000 0.500 0.500
Zr 0.125 0.125 0.125
V 0.500 0.500 0.000

***

Record 12
This record from the Materials Project describes an optimized crystal structure of EuBi2Pd2. The functional is meta-GGA r2SCAN.

Values from the calculation:
ΔH_f (0 K) (eV per atom): -0.622
Symmetry: P4/nmm (129)
DFT total energy (eV per atom): -40.911

Unit cell a=4.819 b=4.819 c=10.840 alpha=90.00 beta=90.00 gamma=90.00
Fractional positions:
Pd 0.000 0.500 0.629
Pd 0.000 0.000 0.000
Bi 0.500 0.500 0.500
Bi 0.500 0.000 0.125
Eu 0.500 0.000 0.767
Pd 0.500 0.000 0.371
Bi 0.000 0.000 0.500
Eu 0.000 0.500 0.233
Bi 0.000 0.500 0.875
Pd 0.500 0.500 0.000

***

Record 13
This record from the Materials Project describes an optimized crystal structure of Ce3InC. The functional is meta-GGA r2SCAN.

Values from the calculation:
ΔH_f (0 K) (eV per atom): -0.490
Symmetry: Pm-3m (221)
DFT total energy (eV per atom): -25.499

Unit cell a=5.046 b=5.046 c=5.046 alpha=90.00 beta=90.00 gamma=90.00
Fractional positions:
In 0.000 0.000 0.000
Ce 0.000 0.500 0.500
Ce 0.500 0.500 0.000
Ce 0.500 0.000 0.500
C 0.500 0.500 0.500

***

Record 14
This record from the Materials Project describes an optimized crystal structure of SrMg2Bi2. The functional is meta-GGA r2SCAN.

Values from the calculation:
ΔH_f (0 K) (eV per atom): -0.722
Symmetry: P-3m1 (164)
DFT total energy (eV per atom): -28.820

Unit cell a=4.830 b=4.830 c=7.983 alpha=90.00 beta=90.00 gamma=120.00
Fractional positions:
Mg 0.667 0.333 0.375
Bi 0.667 0.333 0.747
Sr 0.000 0.000 0.000
Bi 0.333 0.667 0.253
Mg 0.333 0.667 0.625

***

Record 15
This record from the Materials Project describes an optimized crystal structure of CsPbCl3. The functional is meta-GGA r2SCAN.

Values from the calculation:
ΔH_f (0 K) (eV per atom): -1.692
Symmetry: Amm2 (38)
DFT total energy (eV per atom): -21.663

Unit cell a=5.764 b=11.134 c=7.868 alpha=44.96 beta=90.00 gamma=90.00
Fractional positions:
Cl 0.000 0.685 0.500
Cl 0.000 0.305 0.500
Pb 0.000 0.492 0.001
Cs 0.500 0.990 0.500
Cl 0.500 0.490 0.002
Cl 0.500 0.992 0.998
Cl 0.000 0.185 0.117
Cl 0.000 0.802 0.883
Cs 0.500 0.495 0.500
Pb 0.000 0.993 0.999

***

Record 16
This record from the Materials Project describes an optimized crystal structure of Mn3Ge. The functional is meta-GGA r2SCAN.

Values from the calculation:
ΔH_f (0 K) (eV per atom): -0.096
Symmetry: Fm-3m (225)
DFT total energy (eV per atom): -14.577

Unit cell a=4.076 b=4.076 c=4.076 alpha=60.00 beta=60.00 gamma=60.00
Fractional positions:
Ge 0.750 0.750 0.750
Mn 0.000 0.000 0.000
Mn 0.500 0.500 0.500
Mn 0.250 0.250 0.250

***

Record 17
This record from the Materials Project describes an optimized crystal structure of Er3O2F5. The functional is meta-GGA r2SCAN.

Values from the calculation:
ΔH_f (0 K) (eV per atom): -4.380
Symmetry: Pnma (62)
DFT total energy (eV per atom): -17.315

Unit cell a=5.297 b=5.552 c=16.898 alpha=90.00 beta=90.00 gamma=90.00
Fractional positions:
F 0.638 0.886 0.250
O 0.203 0.037 0.332
O 0.297 0.537 0.332
F 0.673 0.164 0.374
F 0.827 0.664 0.374
Er 0.462 0.826 0.403
F 0.285 0.116 0.486
F 0.327 0.836 0.626
Er 0.462 0.826 0.097
O 0.797 0.963 0.832
O 0.703 0.463 0.668
F 0.215 0.616 0.486
Er 0.038 0.326 0.403
F 0.173 0.336 0.626
F 0.285 0.116 0.014
F 0.362 0.114 0.750
Er 0.538 0.174 0.597
Er 0.538 0.174 0.903
F 0.785 0.384 0.986
F 0.327 0.836 0.874
F 0.827 0.664 0.126
Er 0.042 0.762 0.250
F 0.715 0.884 0.514
F 0.173 0.336 0.874
F 0.215 0.616 0.014
O 0.703 0.463 0.832
O 0.297 0.537 0.168
F 0.715 0.884 0.986
Er 0.962 0.674 0.903
Er 0.038 0.326 0.097
Er 0.958 0.238 0.750
Er 0.458 0.262 0.250
F 0.138 0.614 0.750
O 0.797 0.963 0.668
Er 0.962 0.674 0.597
F 0.785 0.384 0.514
F 0.673 0.164 0.126
O 0.203 0.037 0.168
F 0.862 0.386 0.250
Er 0.542 0.738 0.750

***

Record 18
This record from the Materials Project describes an optimized crystal structure of TiCuGe. The functional is meta-GGA r2SCAN.

Values from the calculation:
ΔH_f (0 K) (eV per atom): -0.458
Symmetry: Pnma (62)
DFT total energy (eV per atom): -13.010

Unit cell a=3.794 b=6.271 c=7.257 alpha=90.00 beta=90.00 gamma=90.00
Fractional positions:
Ge 0.250 0.264 0.118
Cu 0.750 0.348 0.933
Cu 0.750 0.848 0.567
Cu 0.250 0.652 0.067
Ti 0.250 0.522 0.683
Ti 0.750 0.478 0.317
Ge 0.750 0.236 0.618
Ge 0.750 0.736 0.882
Cu 0.250 0.152 0.433
Ti 0.250 0.022 0.817
Ti 0.750 0.978 0.183
Ge 0.250 0.764 0.382